First-principles (GGA-PBE) data for a relaxed SrMg5N4 crystal, as listed in Materials Project.

Cell lengths 8.382, 6.772, 5.292 Å; angles 90.00, 90.00, 90.00 degrees
Element x y z (fractional)
Mg (0.250, 0.250, 0.231)
N (0.478, 0.250, 0.476)
N (0.250, 0.010, 0.990)
Mg (0.072, 0.496, 0.733)
N (0.750, 0.510, 0.010)
Mg (0.928, 0.504, 0.267)
Sr (0.750, 0.250, 0.718)
Mg (0.750, 0.750, 0.769)
N (0.750, 0.990, 0.010)
Mg (0.072, 0.004, 0.733)
N (0.250, 0.490, 0.990)
Mg (0.428, 0.496, 0.733)
N (0.022, 0.250, 0.476)
Mg (0.428, 0.004, 0.733)
N (0.522, 0.750, 0.524)
N (0.978, 0.750, 0.524)
Sr (0.250, 0.750, 0.282)
Mg (0.928, 0.996, 0.267)
Mg (0.572, 0.504, 0.267)
Mg (0.572, 0.996, 0.267)

Summary:
Magnetic moment: 0.00 μB/f.u.
SG: Pmmn, No. 59
Energy: -4.79 eV/atom
Total energy after the MP2020 corrections: -4.936 eV per atom
Formation energy: -0.63 eV/atom

***

First-principles (GGA-PBE) data for a relaxed Al2O3 crystal, as listed in Materials Project.

Cell lengths 10.213, 10.418, 10.246 Å; angles 89.22, 92.68, 85.30 degrees
Element x y z (fractional)
O (0.759, 0.894, 0.934)
O (0.949, 0.981, 0.253)
Al (0.207, 0.646, 0.848)
O (0.050, 0.541, 0.252)
Al (0.679, 0.287, 0.329)
O (0.332, 0.587, 0.219)
O (0.541, 0.964, 0.626)
O (0.812, 0.401, 0.189)
Al (0.292, 0.488, 0.652)
Al (0.977, 0.598, 0.079)
O (0.173, 0.801, 0.294)
Al (0.394, 0.151, 0.941)
O (0.951, 0.764, 0.140)
Al (0.869, 0.029, 0.912)
O (0.363, 0.571, 0.796)
Al (0.829, 0.216, 0.734)
Al (0.626, 0.609, 0.738)
O (0.601, 0.498, 0.868)
Al (0.523, 0.078, 0.495)
O (0.132, 0.756, 0.725)
Al (0.169, 0.923, 0.903)
O (0.408, 0.882, 0.171)
O (0.649, 0.146, 0.224)
O (0.685, 0.899, 0.185)
O (0.437, 0.714, 0.396)
Al (0.472, 0.837, 0.510)
O (0.044, 0.648, 0.924)
Al (0.625, 0.947, 0.796)
Al (0.456, 0.806, 0.925)
O (0.996, 0.628, 0.573)
Al (0.891, 0.960, 0.553)
Al (0.787, 0.800, 0.076)
O (0.970, 0.138, 0.833)
Al (0.879, 0.319, 0.046)
O (0.524, 0.953, 0.373)
Al (0.997, 0.817, 0.306)
Al (0.153, 0.749, 0.552)
O (0.302, 0.857, 0.559)
Al (0.548, 0.367, 0.551)
O (0.791, 0.309, 0.900)
O (0.797, 0.593, 0.694)
Al (0.216, 0.544, 0.335)
O (0.071, 0.312, 0.391)
O (0.876, 0.121, 0.594)
Al (0.694, 0.828, 0.350)
O (0.233, 0.588, 0.506)
Al (0.942, 0.427, 0.319)
O (0.347, 0.116, 0.488)
Al (0.647, 0.564, 0.109)
O (0.592, 0.218, 0.463)
O (0.678, 0.318, 0.674)
O (0.725, 0.088, 0.804)
O (0.413, 0.136, 0.110)
O (0.479, 0.287, 0.885)
O (0.293, 0.366, 0.306)
O (0.790, 0.626, 0.046)
Al (0.962, 0.239, 0.505)
Al (0.444, 0.714, 0.216)
Al (0.799, 0.065, 0.289)
O (0.857, 0.743, 0.377)
O (0.154, 0.477, 0.765)
O (0.998, 0.903, 0.888)
Al (0.632, 0.329, 0.836)
O (0.384, 0.356, 0.598)
O (0.848, 0.212, 0.359)
O (0.036, 0.879, 0.491)
Al (0.833, 0.707, 0.553)
Al (0.048, 0.076, 0.162)
O (0.549, 0.545, 0.595)
O (0.911, 0.148, 0.073)
O (0.862, 0.437, 0.469)
O (0.221, 0.231, 0.881)
Al (0.378, 0.425, 0.173)
Al (0.576, 0.599, 0.429)
Al (0.971, 0.766, 0.794)
O (0.511, 0.686, 0.045)
Al (0.155, 0.390, 0.919)
O (0.283, 0.785, 0.926)
O (0.570, 0.769, 0.795)
O (0.532, 0.438, 0.101)
Al (0.444, 0.465, 0.929)
O (0.586, 0.433, 0.380)
O (0.016, 0.414, 0.021)
O (0.162, 0.986, 0.065)
Al (0.527, 0.020, 0.193)
O (0.219, 0.017, 0.769)
O (0.969, 0.322, 0.676)
Al (0.929, 0.485, 0.626)
O (0.292, 0.444, 0.013)
O (0.123, 0.148, 0.577)
Al (0.251, 0.019, 0.594)
O (0.625, 0.655, 0.263)
Al (0.110, 0.171, 0.753)
Al (0.248, 0.930, 0.219)
Al (0.231, 0.224, 0.384)
O (0.852, 0.839, 0.669)
O (0.654, 0.744, 0.504)
O (0.763, 0.970, 0.428)
O (0.184, 0.093, 0.278)
O (0.478, 0.984, 0.900)

Summary:
Magnetic moment: 0.00 μB/f.u.
SG: P1, No. 1
Energy: -7.23 eV/atom
Total energy after the MP2020 corrections: -7.647 eV per atom
Formation energy: -3.18 eV/atom

***

First-principles (GGA-PBE) data for a relaxed KNdP4O12 crystal, as listed in Materials Project.

Cell lengths 7.494, 7.494, 10.749 Å; angles 79.25, 79.25, 115.41 degrees
Element x y z (fractional)
O (0.810, 0.304, 0.403)
P (0.259, 0.305, 0.443)
Nd (0.879, 0.121, 0.250)
O (0.499, 0.355, 0.414)
O (0.757, 0.811, 0.170)
O (0.304, 0.810, 0.903)
O (0.092, 0.492, 0.113)
O (0.532, 0.282, 0.930)
O (0.696, 0.190, 0.097)
O (0.718, 0.468, 0.570)
P (0.712, 0.373, 0.000)
O (0.811, 0.757, 0.670)
Nd (0.121, 0.879, 0.750)
P (0.305, 0.259, 0.943)
O (0.832, 0.860, 0.916)
O (0.492, 0.092, 0.613)
O (0.355, 0.499, 0.914)
O (0.501, 0.645, 0.586)
P (0.288, 0.627, 0.000)
O (0.860, 0.832, 0.416)
O (0.140, 0.168, 0.584)
O (0.168, 0.140, 0.084)
O (0.908, 0.508, 0.887)
P (0.373, 0.712, 0.500)
O (0.282, 0.532, 0.430)
O (0.243, 0.189, 0.830)
P (0.695, 0.741, 0.057)
O (0.190, 0.696, 0.597)
K (0.816, 0.184, 0.750)
O (0.468, 0.718, 0.070)
O (0.645, 0.501, 0.086)
P (0.741, 0.695, 0.557)
K (0.184, 0.816, 0.250)
P (0.627, 0.288, 0.500)
O (0.508, 0.908, 0.387)
O (0.189, 0.243, 0.330)

Summary:
Magnetic moment: 0.00 μB/f.u.
SG: C2/c, No. 15
Energy: -7.28 eV/atom
Total energy after the MP2020 corrections: -7.742 eV per atom
Formation energy: -2.91 eV/atom

***

First-principles (GGA-PBE) data for a relaxed DyErRh2 crystal, as listed in Materials Project.

Cell lengths 4.840, 4.840, 4.840 Å; angles 60.00, 60.00, 60.00 degrees
Element x y z (fractional)
Dy (0.500, 0.500, 0.500)
Rh (0.750, 0.750, 0.750)
Er (0.000, 0.000, 0.000)
Rh (0.250, 0.250, 0.250)

Summary:
SG: Fm-3m, No. 225
Energy: -6.88 eV/atom
Formation energy: -0.91 eV/atom

***

First-principles (GGA-PBE) data for a relaxed BaTeO3 crystal, as listed in Materials Project.

Cell lengths 4.655, 6.075, 7.257 Å; angles 90.00, 106.89, 90.00 degrees
Element x y z (fractional)
O (0.353, 0.750, 0.898)
O (0.647, 0.250, 0.102)
Te (0.931, 0.750, 0.852)
Ba (0.660, 0.750, 0.314)
Ba (0.340, 0.250, 0.686)
Te (0.069, 0.250, 0.148)
O (0.174, 0.014, 0.326)
O (0.826, 0.514, 0.674)
O (0.174, 0.486, 0.326)
O (0.826, 0.986, 0.674)

Summary:
SG: P2_1/m, No. 11
Energy: -5.93 eV/atom
Total energy after the MP2020 corrections: -6.338 eV per atom
Formation energy: -2.36 eV/atom

***

First-principles (GGA-PBE) data for a relaxed PtI4O2 crystal, as listed in Materials Project.

Cell lengths 5.194, 5.194, 13.394 Å; angles 90.00, 90.00, 90.00 degrees
Element x y z (fractional)
Pt (0.500, 0.500, 0.500)
I (0.264, 0.264, 0.856)
I (0.736, 0.736, 0.856)
I (0.264, 0.264, 0.144)
Pt (0.000, 0.000, 0.000)
I (0.236, 0.764, 0.356)
O (0.743, 0.257, 0.000)
I (0.236, 0.764, 0.644)
I (0.764, 0.236, 0.356)
O (0.243, 0.243, 0.500)
O (0.257, 0.743, 0.000)
I (0.764, 0.236, 0.644)
I (0.736, 0.736, 0.144)
O (0.757, 0.757, 0.500)

Summary:
Magnetic moment: 0.82 μB/f.u.
SG: P4_2/mnm, No. 136
Energy: -2.91 eV/atom
Total energy after the MP2020 corrections: -3.104 eV per atom
Formation energy: 0.05 eV/atom

***

First-principles (GGA-PBE) data for a relaxed Na6Ca4Si3Sn4S9O48 crystal, as listed in Materials Project.

Cell lengths 18.173, 9.065, 23.298 Å; angles 89.97, 89.72, 120.03 degrees
Element x y z (fractional)
O (0.953, 0.552, 0.143)
Na (0.501, 0.614, 0.239)
O (0.895, 0.978, 0.694)
O (0.595, 0.014, 0.304)
O (0.078, 0.672, 0.083)
O (0.088, 0.981, 0.198)
O (0.420, 0.528, 0.032)
O (0.496, 0.789, 0.797)
O (0.268, 0.843, 0.475)
O (0.440, 0.313, 0.537)
O (0.819, 0.536, 0.634)
S (0.019, 0.365, 0.915)
Si (0.986, 0.337, 0.583)
O (0.691, 0.472, 0.360)
Si (0.313, 0.962, 0.417)
O (0.070, 0.449, 0.969)
Sn (0.170, 0.664, 0.517)
Na (0.815, 0.326, 0.347)
S (0.174, 0.016, 0.580)
O (0.256, 0.667, 0.580)
O (0.012, 0.194, 0.915)
Na (0.178, 0.646, 0.159)
O (0.921, 0.312, 0.529)
O (0.575, 0.453, 0.248)
O (0.046, 0.632, 0.362)
O (0.092, 0.187, 0.420)
S (0.999, 0.297, 0.246)
Si (0.816, 0.671, 0.916)
O (0.826, 0.504, 0.925)
Sn (0.008, 0.993, 0.859)
O (0.578, 0.467, 0.967)
Sn (0.007, 0.017, 0.146)
O (0.083, 0.499, 0.569)
O (0.404, 0.982, 0.690)
Si (0.674, 0.375, 0.420)
Ca (0.317, 0.327, 0.685)
O (0.578, 0.484, 0.582)
S (0.665, 0.970, 0.920)
O (0.909, 0.991, 0.091)
S (0.490, 0.333, 0.588)
O (0.645, 0.457, 0.747)
O (0.824, 0.144, 0.425)
O (0.859, 0.164, 0.750)
Na (0.991, 0.010, 0.503)
O (0.721, 0.142, 0.527)
O (0.904, 0.820, 0.190)
O (0.087, 0.989, 0.919)
O (0.417, 0.818, 0.302)
O (0.723, 0.151, 0.248)
S (0.334, 0.651, 0.584)
O (0.748, 0.619, 0.865)
S (0.334, 0.030, 0.083)
Na (0.664, 0.660, 0.158)
O (0.434, 0.526, 0.418)
Na (0.004, 0.376, 0.737)
O (0.270, 0.646, 0.869)
O (0.061, 0.464, 0.863)
O (0.414, 0.016, 0.087)
Ca (0.671, 0.676, 0.815)
Sn (0.502, 0.017, 0.361)
O (0.407, 0.971, 0.413)
O (0.506, 0.801, 0.692)
O (0.921, 0.538, 0.746)
Ca (0.174, 0.685, 0.814)
O (0.711, 0.302, 0.030)
Na (0.007, 0.002, 0.996)
O (0.588, 0.180, 0.416)
O (0.998, 0.822, 0.092)
O (0.852, 0.548, 0.239)
O (0.083, 0.172, 0.086)
Na (0.999, 0.630, 0.249)
O (0.760, 0.666, 0.574)
O (0.209, 0.115, 0.527)
Sn (0.506, 0.996, 0.646)
O (0.772, 0.700, 0.242)
Na (0.334, 0.306, 0.343)
O (0.663, 0.821, 0.571)
Ca (0.494, 0.986, 0.853)
Sn (0.671, 0.679, 0.014)
O (0.087, 0.199, 0.693)
Na (0.490, 0.968, 0.999)
O (0.146, 0.835, 0.247)
O (0.586, 0.181, 0.089)
Ca (0.995, 0.003, 0.355)
O (0.547, 0.462, 0.864)
S (0.315, 0.661, 0.922)
O (0.190, 0.900, 0.863)
O (0.011, 0.818, 0.417)
Sn (0.663, 0.659, 0.516)
Na (0.682, 0.719, 0.663)
O (0.667, 0.881, 0.868)
O (0.322, 0.102, 0.136)
O (0.166, 0.844, 0.576)
S (0.645, 0.293, 0.749)
S (0.516, 0.372, 0.919)
Si (0.143, 0.289, 0.753)
S (0.363, 0.722, 0.252)
O (0.908, 0.001, 0.800)
O (0.225, 0.305, 0.029)
O (0.003, 0.208, 0.193)
O (0.642, 0.840, 0.253)
O (0.987, 0.790, 0.802)
O (0.922, 0.317, 0.244)
O (0.357, 0.161, 0.737)
O (0.899, 0.985, 0.421)
O (0.274, 0.850, 0.742)
Na (0.499, 0.371, 0.748)
O (0.994, 0.201, 0.298)
Ca (0.329, 0.345, 0.176)
S (0.991, 0.648, 0.089)
O (0.085, 0.987, 0.587)
S (0.859, 0.999, 0.750)
Sn (0.497, 0.989, 0.143)
O (0.957, 0.372, 0.644)
O (0.325, 0.151, 0.424)
O (0.401, 0.815, 0.923)
Sn (0.002, 0.018, 0.647)
Ca (0.830, 0.315, 0.677)
O (0.075, 0.470, 0.245)
O (0.606, 0.202, 0.804)
S (0.499, 0.280, 0.248)
O (0.559, 0.656, 0.358)
Sn (0.826, 0.321, 0.492)
O (0.074, 0.702, 0.748)
O (0.768, 0.896, 0.367)
O (0.270, 0.671, 0.974)
O (0.401, 0.819, 0.196)
O (0.244, 0.350, 0.422)
O (0.759, 0.357, 0.431)
O (0.230, 0.147, 0.243)
Si (0.679, 0.017, 0.583)
Na (0.507, 0.013, 0.502)
O (0.655, 0.866, 0.973)
O (0.993, 0.159, 0.583)
O (0.090, 0.175, 0.810)
S (0.833, 0.017, 0.085)
S (0.520, 0.672, 0.412)
O (0.743, 0.138, 0.923)
S (0.996, 0.712, 0.748)
O (0.410, 0.829, 0.589)
Na (0.172, 0.022, 0.418)
O (0.422, 0.295, 0.246)
O (0.408, 0.015, 0.794)
O (0.253, 0.882, 0.362)
O (0.168, 0.452, 0.366)
O (0.506, 0.192, 0.195)
O (0.905, 0.798, 0.295)
O (0.261, 0.854, 0.076)
O (0.495, 0.185, 0.301)
S (0.501, 0.702, 0.746)
O (0.346, 0.577, 0.531)
O (0.230, 0.384, 0.143)
S (0.359, 0.000, 0.742)
Si (0.488, 0.632, 0.084)
O (0.755, 0.843, 0.081)
O (0.497, 0.828, 0.085)
Ca (0.170, 0.666, 0.316)
O (0.849, 0.561, 0.530)
O (0.725, 0.350, 0.134)
S (0.638, 0.999, 0.252)
O (0.105, 0.009, 0.303)
O (0.432, 0.355, 0.931)
O (0.361, 0.558, 0.250)
Sn (0.327, 0.335, 0.989)
O (0.326, 0.507, 0.926)
O (0.930, 0.508, 0.428)
O (0.771, 0.855, 0.751)
O (0.773, 0.703, 0.977)
O (0.461, 0.546, 0.147)
O (0.591, 0.998, 0.920)
O (0.585, 0.664, 0.070)
O (0.453, 0.356, 0.641)
S (0.167, 0.364, 0.419)
O (0.845, 0.118, 0.034)
Ca (0.676, 0.658, 0.317)
S (0.676, 0.332, 0.083)
O (0.426, 0.530, 0.743)
O (0.157, 0.850, 0.979)
O (0.654, 0.464, 0.475)
Na (0.675, 0.330, 0.910)
Sn (0.163, 0.662, 0.013)
S (0.835, 0.639, 0.583)
O (0.667, 0.487, 0.078)
O (0.144, 0.470, 0.752)
O (0.511, 0.204, 0.918)
O (0.278, 0.701, 0.254)
O (0.260, 0.160, 0.931)
O (0.588, 0.983, 0.198)
O (0.767, 0.864, 0.472)
O (0.934, 0.345, 0.921)
Si (0.173, 0.970, 0.921)
Ca (0.840, 0.341, 0.986)
S (0.857, 0.716, 0.243)
O (0.515, 0.833, 0.411)
O (0.913, 0.812, 0.588)
O (0.730, 0.315, 0.743)
O (0.326, 0.552, 0.636)
S (0.814, 0.970, 0.421)
O (0.234, 0.300, 0.754)
O (0.730, 0.080, 0.641)
O (0.349, 0.138, 0.032)
O (0.226, 0.101, 0.630)
O (0.164, 0.508, 0.072)
O (0.578, 0.685, 0.745)
Si (0.180, 0.345, 0.083)
O (0.157, 0.449, 0.471)
Na (0.295, 0.291, 0.836)
O (0.938, 0.563, 0.039)
O (0.822, 0.095, 0.138)
O (0.499, 0.176, 0.591)
Na (0.162, 0.639, 0.669)
S (0.015, 0.657, 0.418)
O (0.910, 0.848, 0.910)
O (0.999, 0.811, 0.695)
O (0.076, 0.683, 0.465)
Na (0.842, 0.371, 0.838)
Ca (0.339, 0.338, 0.488)
O (0.581, 0.994, 0.586)
Ca (0.826, 0.321, 0.180)
O (0.589, 0.196, 0.699)
S (0.145, 0.998, 0.249)
O (0.573, 0.692, 0.464)

Summary:
Magnetic moment: 0.00 μB/f.u.
SG: P1, No. 1
Energy: -6.24 eV/atom
Total energy after the MP2020 corrections: -6.687 eV per atom
Formation energy: -2.32 eV/atom